Record 1
## LiMg2 (meta-GGA r2SCAN)

Data for LiMg2 after structural relaxation.

a = 5.4222 Å, b = 5.4222 Å, c = 15.1513 Å
α = 90.00°, β = 90.00°, γ = 120.00°
Closest atoms and distances in Å follow each position.
Space group R32 (No. 155, hexagonal axes)
Symmetry-distinct sites (fractional):
1 Li 0.0000 0.0000 0.1662  9 Mg 3.09-3.13, 3 Li 3.13
2 Mg 0.0000 0.0000 0.5000  6 Mg 3.11, 6 Li 3.13
3 Mg 0.0000 0.6696 0.0000  4 Li 3.09-3.12, 8 Mg 3.10-3.14

Output
- size of the total moment (μB/cell) = 0.0
- final energy (eV/atom) = -3.598
- formation energy from the elements (meV/atom) = -23


Record 2
## In2O3 (meta-GGA r2SCAN)

Data for In2O3 after structural relaxation.

a = 5.5275 Å, b = 5.7045 Å, c = 15.9700 Å
α = 90.00°, β = 90.00°, γ = 90.00°
Closest atoms and distances in Å follow each position.
Space group Pbca (No. 61)
Symmetry-distinct sites (fractional):
1 In 0.0000 0.2040 0.0706  6 O 2.11-2.28
2 In 0.0023 0.2419 0.8182  6 O 2.15-2.28
3 O 0.1408 0.1232 0.2018  4 In 2.15-2.28
4 O 0.1470 0.6578 0.5524  4 In 2.12-2.28
5 O 0.2058 0.5231 0.8755  4 In 2.11-2.25

Output
- size of the total moment (μB/cell) = 0.0
- final energy (eV/atom) = -14.440
- formation energy from the elements (meV/atom) = -1825


Record 3
## RbCoBr3 (meta-GGA r2SCAN)

Data for RbCoBr3 after structural relaxation.

a = 7.4286 Å, b = 7.4286 Å, c = 6.2446 Å
α = 90.00°, β = 90.00°, γ = 120.00°
Closest atoms and distances in Å follow each position.
Space group P6_3/mmc (No. 194)
Symmetry-distinct sites (fractional):
1 Rb 0.3333 0.6667 0.2500  12 Br 3.72-3.83
2 Co 0.0000 0.0000 0.0000  6 Br 2.59
3 Br 0.1609 0.3219 0.7500  2 Co 2.59

Output
- size of the total moment (μB/cell) = 6.0
- final energy (eV/atom) = -14.588
- formation energy from the elements (meV/atom) = -1200


Record 4
## SmNiO3 (meta-GGA r2SCAN)

Data for SmNiO3 after structural relaxation.

a = 5.4498 Å, b = 7.5309 Å, c = 5.2868 Å
α = 90.00°, β = 90.00°, γ = 90.00°
Closest atoms and distances in Å follow each position.
Space group Pnma (No. 62)
Symmetry-distinct sites (fractional):
1 Sm 0.0563 0.2500 0.0128  6 O 2.32-2.51
2 Ni 0.0000 0.0000 0.5000  6 O 1.93-1.96
3 O 0.0151 0.7500 0.4194  2 Ni 1.93
4 O 0.2065 0.5427 0.7933  2 Ni 1.94-1.96

Output
- size of the total moment (μB/cell) = 4.0
- final energy (eV/atom) = -14.436
- formation energy from the elements (meV/atom) = -2509


Record 5
## Ho3Cu4Sn4 (meta-GGA r2SCAN)

Data for Ho3Cu4Sn4 after structural relaxation.

a = 4.4217 Å, b = 6.9105 Å, c = 14.5855 Å
α = 90.00°, β = 90.00°, γ = 90.00°
Closest atoms and distances in Å follow each position.
Space group Immm (No. 71)
Symmetry-distinct sites (fractional):
1 Ho 0.0000 0.0000 0.0000  6 Sn 3.02-3.15
2 Ho 0.0000 0.5000 0.1315  6 Sn 3.14-3.25, 6 Cu 3.14-3.16
3 Cu 0.0000 0.3113 0.3287  1 Cu 2.61, 4 Sn 2.61-2.71
4 Sn 0.0000 0.0000 0.2160  6 Cu 2.65-2.71
5 Sn 0.0000 0.2030 0.5000  2 Cu 2.61, 1 Sn 2.81

Output
- size of the total moment (μB/cell) = 0.0
- final energy (eV/atom) = -22.461
- formation energy from the elements (meV/atom) = -551


Record 6
## Tb3Se4 (meta-GGA r2SCAN)

Data for Tb3Se4 after structural relaxation.

a = 8.6903 Å, b = 8.6903 Å, c = 8.6903 Å
α = 90.00°, β = 90.00°, γ = 90.00°
Closest atoms and distances in Å follow each position.
Space group I-43d (No. 220)
Symmetry-distinct sites (fractional):
1 Tb 0.0000 0.2500 0.3750  8 Se 2.90-3.12
2 Se 0.0716 0.0716 0.0716  6 Tb 2.90-3.12

Output
- size of the total moment (μB/cell) = 0.0
- final energy (eV/atom) = -23.630
- formation energy from the elements (meV/atom) = -2069


Record 7
## LiGaI4 (meta-GGA r2SCAN)

Data for LiGaI4 after structural relaxation.

a = 8.1153 Å, b = 7.5627 Å, c = 14.9375 Å
α = 90.00°, β = 92.73°, γ = 90.00°
Closest atoms and distances in Å follow each position.
Space group P2_1/c (No. 14)
Symmetry-distinct sites (fractional):
1 Li 0.1496 0.0061 0.3812  5 I 2.86-3.15
2 Ga 0.2944 0.1727 0.5997  4 I 2.55-2.60
3 I 0.0629 0.1800 0.1869  1 Ga 2.59
4 I 0.1890 0.6463 0.0682  1 Ga 2.60
5 I 0.3092 0.1788 0.9466  1 Ga 2.56, 1 Li 2.86
6 I 0.4339 0.6834 0.8079  1 Ga 2.55

Output
- size of the total moment (μB/cell) = 0.0
- final energy (eV/atom) = -19.547
- formation energy from the elements (meV/atom) = -870


Record 8
## In11S16 (meta-GGA r2SCAN)

Data for In11S16 after structural relaxation.

a = 7.7084 Å, b = 7.7084 Å, c = 10.9178 Å
α = 90.00°, β = 90.00°, γ = 90.00°
Closest atoms and distances in Å follow each position.
Space group P-4m2 (No. 115)
Symmetry-distinct sites (fractional):
1 In 0.0000 0.0000 0.0000  4 S 2.48
2 In 0.0000 0.2682 0.6224  6 S 2.57-2.71
3 In 0.0000 0.5000 0.2555  4 S 2.52-2.56
4 In 0.2529 0.5000 0.8661  6 S 2.53-2.69
5 S 0.0000 0.2262 0.3817  4 In 2.52-2.71
6 S 0.0000 0.2635 0.8699  4 In 2.48-2.70
7 S 0.2391 0.5000 0.6342  3 In 2.53-2.57
8 S 0.2631 0.5000 0.1123  4 In 2.56-2.69

Output
- size of the total moment (μB/cell) = 0.0
- final energy (eV/atom) = -14.682
- formation energy from the elements (meV/atom) = -722


- What is the final energy in the third record?
  -14.588 eV/atom